An optimized crystal structure of Cs2B12HF12. Source: the Materials Project database, functional PBE.

- Total moment: 4.02 Bohr magnetons per cell

```
data_Cs2B12HF12
_chemical_formula_sum 'Cs8 B48 H4 F48'
_cell_length_a 9.993
_cell_length_b 10.538
_cell_length_c 15.394
_cell_angle_alpha 90.00
_cell_angle_beta 90.00
_cell_angle_gamma 90.00
_symmetry_space_group_name_H-M 'P 21 21 21'
_symmetry_Int_Tables_number 19
loop_
_symmetry_equiv_pos_as_xyz
'x,y,z'
'-x+1/2,-y,z+1/2'
'x+1/2,-y+1/2,-z'
'-x,y+1/2,-z+1/2'
loop_
_atom_site_label
_atom_site_type_symbol
_atom_site_fract_x
_atom_site_fract_y
_atom_site_fract_z
Cs1 Cs 0.043 0.005 0.115
Cs2 Cs 0.082 0.187 0.789
B1 B 0.002 0.426 0.128
B2 B 0.007 0.596 0.126
B3 B 0.027 0.370 0.020
B4 B 0.034 0.646 0.016
B5 B 0.044 0.506 0.951
B6 B 0.072 0.011 0.461
B7 B 0.152 0.508 0.160
B8 B 0.164 0.368 0.095
B9 B 0.172 0.644 0.091
B10 B 0.189 0.419 0.984
B11 B 0.195 0.588 0.982
B12 B 0.231 0.497 0.571
H1 H 0.131 0.868 0.808
F1 F 0.002 0.502 0.864
F2 F 0.010 0.261 0.517
F3 F 0.023 0.755 0.513
F4 F 0.065 0.166 0.312
F5 F 0.077 0.863 0.310
F6 F 0.093 0.503 0.586
F7 F 0.196 0.512 0.246
F8 F 0.211 0.011 0.473
F9 F 0.216 0.254 0.127
F10 F 0.229 0.757 0.123
F11 F 0.232 0.348 0.419
F12 F 0.242 0.654 0.423
```

An optimized crystal structure of Cs2B12H2OF12. Source: the Materials Project database, functional PBE.

- Total moment: 0.11 Bohr magnetons per cell

```
data_Cs2B12H2OF12
_chemical_formula_sum 'Cs8 B48 H8 O4 F48'
_cell_length_a 10.277
_cell_length_b 10.626
_cell_length_c 15.378
_cell_angle_alpha 90.00
_cell_angle_beta 90.00
_cell_angle_gamma 90.00
_symmetry_space_group_name_H-M 'P 21 21 21'
_symmetry_Int_Tables_number 19
loop_
_symmetry_equiv_pos_as_xyz
'x,y,z'
'-x+1/2,-y,z+1/2'
'x+1/2,-y+1/2,-z'
'-x,y+1/2,-z+1/2'
loop_
_atom_site_label
_atom_site_type_symbol
_atom_site_fract_x
_atom_site_fract_y
_atom_site_fract_z
Cs1 Cs 0.039 0.001 0.112
Cs2 Cs 0.110 0.161 0.805
B1 B 0.003 0.426 0.126
B2 B 0.008 0.594 0.124
B3 B 0.029 0.371 0.017
B4 B 0.037 0.645 0.015
B5 B 0.049 0.507 0.948
B6 B 0.067 0.011 0.464
B7 B 0.148 0.506 0.161
B8 B 0.160 0.368 0.094
B9 B 0.169 0.642 0.092
B10 B 0.189 0.420 0.984
B11 B 0.194 0.588 0.983
B12 B 0.237 0.498 0.573
H1 H 0.091 0.834 0.836
H2 H 0.238 0.839 0.816
O1 O 0.154 0.875 0.798
F1 F 0.005 0.259 0.520
F2 F 0.011 0.508 0.861
F3 F 0.019 0.757 0.514
F4 F 0.064 0.163 0.315
F5 F 0.077 0.864 0.314
F6 F 0.102 0.502 0.588
F7 F 0.186 0.510 0.248
F8 F 0.201 0.011 0.477
F9 F 0.207 0.253 0.124
F10 F 0.223 0.753 0.125
F11 F 0.232 0.347 0.422
F12 F 0.240 0.653 0.425
```

no.,ΔE_f (eV/f.u.),density (g/cm³)
1,-52.13,2.56
2,-58.11,2.54